First-principles (GGA+U) data for a geometry-optimized AlTlFe2F2 structure, as listed in the Materials Project database.

Output
The value obtained for the formation energy is -310 meV/atom. The value obtained for the uncorrected energy is -23.302 eV/cell. The space group is P4/mmm (123). The value obtained for the total magnetic moment is 6.24 μB per formula unit. The value obtained for the relative energy among the computed polymorphs is 2.12 eV/f.u.

Cell: 4.9345 4.9345 6.2365 Å, 90.00 90.00 90.00°
Atoms (fractional coordinates):
Al 0.0000 0.0000 0.0000
Tl 0.5000 0.5000 0.5000
Fe 0.0000 0.5000 0.0000
Fe 0.5000 0.0000 0.0000
F 0.0000 0.0000 0.2855
F 0.0000 0.0000 0.7145